# PBE+U Li4MnCo2O7, optimized geometry
data_Li4MnCo2O7
_chemical_formula_sum 'Li8 Mn2 Co4 O14'
_symmetry_space_group_name_H-M 'P -1'
_symmetry_Int_Tables_number 2
_cell_length_a 4.996
_cell_length_b 5.291
_cell_length_c 10.205
_cell_angle_alpha 95.43
_cell_angle_beta 101.68
_cell_angle_gamma 102.80
loop_
_symmetry_equiv_pos_as_xyz
'x,y,z'
'-x,-y,-z'
loop_
_atom_site_label
_atom_site_fract_x
_atom_site_fract_y
_atom_site_fract_z
_atom_site_occupancy
Li1 0.000 0.000 0.000 1
Li2 0.000 0.000 0.500 1
Li3 0.143 0.284 0.289 1
Li4 0.284 0.569 0.571 1
Li5 0.426 0.856 0.856 1
Mn1 0.288 0.576 0.074 1
Co1 0.141 0.280 0.782 1
Co2 0.436 0.872 0.364 1
O1 0.067 0.636 0.902 1
O2 0.090 0.655 0.379 1
O3 0.205 0.920 0.191 1
O4 0.247 0.949 0.676 1
O5 0.357 0.221 0.952 1
O6 0.375 0.199 0.471 1
O7 0.487 0.487 0.756 1
# Total energy after the MP2020 corrections = -6.496 eV/atom
# M_tot = 9.0 μB/f.u.

---

# PBE+U Li7Mn2Co3O12, optimized geometry
data_Li7Mn2Co3O12
_chemical_formula_sum 'Li7 Mn2 Co3 O12'
_symmetry_space_group_name_H-M 'P 1 2 1'
_symmetry_Int_Tables_number 3
_cell_length_a 5.034
_cell_length_b 8.813
_cell_length_c 5.114
_cell_angle_alpha 90.00
_cell_angle_beta 109.21
_cell_angle_gamma 90.00
loop_
_symmetry_equiv_pos_as_xyz
'x,y,z'
'-x,y,-z'
loop_
_atom_site_label
_atom_site_fract_x
_atom_site_fract_y
_atom_site_fract_z
_atom_site_occupancy
Li1 0.000 0.000 0.000 1
Li2 0.000 0.158 0.500 1
Li3 0.000 0.318 0.000 1
Li4 0.000 0.646 0.000 1
Li5 0.500 0.162 0.000 1
Li6 0.500 0.483 0.000 1
Li7 0.500 0.819 0.000 1
Mn1 0.000 0.825 0.500 1
Mn2 0.500 0.992 0.500 1
Co1 0.000 0.480 0.500 1
Co2 0.500 0.315 0.500 1
Co3 0.500 0.646 0.500 1
O1 0.233 0.664 0.724 1
O2 0.251 0.975 0.721 1
O3 0.252 0.329 0.727 1
O4 0.253 0.827 0.281 1
O5 0.259 0.493 0.264 1
O6 0.277 0.145 0.265 1
# Total energy after the MP2020 corrections = -6.570 eV/atom
# M_tot = 18.0 μB/f.u.